Mn3As | PBE-GGA | optimized geometry

Geometry as POSCAR:
```
Mn3As
1.0
-0.426 7.811 -1.304
-3.122 -7.273 0.501
-0.716 0.551 3.534
Mn As
6 2
direct
0.052 0.948 0.250
0.680 0.320 0.250
0.550 0.450 0.750
0.320 0.680 0.750
0.948 0.052 0.750
0.450 0.550 0.250
0.158 0.842 0.750
0.842 0.158 0.250
```

VASP energy: -8.169 eV per atom
E_form: -51.2 kJ/mol of formula units
ρ: 7.70 g/cm³